[1]
Below is a geometry-optimized Dy5Mg structure, with properties calculated at the PBE level.

**SG**: Amm2 (38)
**Energy of formation**: 37 meV/atom

abc: 5.592 9.340 9.340
angles: 22.06 90.00 90.00
Sites, in units of the cell vectors:
Dy 0.000 0.000 0.000
Dy 0.000 0.330 0.330
Dy 0.000 0.668 0.668
Dy 0.500 0.116 0.116
Dy 0.500 0.447 0.447
Mg 0.500 0.779 0.779

[2]
Below is a geometry-optimized DyMg3 structure, with properties calculated at the PBE level.

**SG**: Fm-3m (225)
**Energy of formation**: -75 meV/atom

abc: 5.173 5.173 5.173
angles: 60.00 60.00 60.00
Sites, in units of the cell vectors:
Dy 0.000 0.000 0.000
Mg 0.250 0.250 0.250
Mg 0.500 0.500 0.500
Mg 0.750 0.750 0.750

[3]
Below is a geometry-optimized DyMg3 structure, with properties calculated at the PBE level.

**SG**: P6_3/mmc (194)
**Energy of formation**: -60 meV/atom

abc: 6.658 6.658 5.201
angles: 90.00 90.00 120.00
Sites, in units of the cell vectors:
Dy 0.333 0.667 0.250
Dy 0.667 0.333 0.750
Mg 0.164 0.328 0.750
Mg 0.164 0.836 0.750
Mg 0.328 0.164 0.250
Mg 0.672 0.836 0.750
Mg 0.836 0.164 0.250
Mg 0.836 0.672 0.250

[4]
Below is a geometry-optimized DyMg5 structure, with properties calculated at the PBE level.

**SG**: Cm (8)
**Energy of formation**: -7 meV/atom

abc: 6.199 6.199 7.164
angles: 107.10 107.10 34.47
Sites, in units of the cell vectors:
Dy 0.000 0.000 0.000
Mg 0.001 0.001 0.501
Mg 0.325 0.325 0.173
Mg 0.327 0.327 0.655
Mg 0.673 0.673 0.344
Mg 0.677 0.677 0.831

[5]
Below is a geometry-optimized DyMg structure, with properties calculated at the PBE level.

**SG**: Pm-3m (221)
**Energy of formation**: -80 meV/atom

abc: 3.787 3.787 3.787
angles: 90.00 90.00 90.00
Sites, in units of the cell vectors:
Dy 0.000 0.000 0.000
Mg 0.500 0.500 0.500

[6]
Below is a geometry-optimized Dy5Mg structure, with properties calculated at the PBE level.

**SG**: R32 (155)
**Energy of formation**: 16 meV/atom

abc: 6.598 6.598 6.598
angles: 55.38 55.38 55.38
Sites, in units of the cell vectors:
Dy 0.000 0.660 0.340
Dy 0.168 0.168 0.168
Dy 0.340 0.000 0.660
Dy 0.660 0.340 0.000
Dy 0.832 0.832 0.832
Mg 0.500 0.500 0.500